Density functional theory data (meta-GGA r2SCAN) for a relaxed Nd2Si2O7 crystal.

Cell and atoms, written as CIF:
```
data_Nd2Si2O7
_chemical_formula_sum 'Nd16 Si16 O56'
_symmetry_space_group_name_H-M 'P 1'
_symmetry_Int_Tables_number 1
_cell_length_a 6.739
_cell_length_b 6.739
_cell_length_c 24.513
_cell_angle_alpha 90.00
_cell_angle_beta 90.00
_cell_angle_gamma 90.00
loop_
_symmetry_equiv_pos_as_xyz
'x,y,z'
loop_
_atom_site_label
_atom_site_type_symbol
_atom_site_fract_x
_atom_site_fract_y
_atom_site_fract_z
Nd1 Nd 0.019 0.337 0.000
Nd2 Nd 0.167 0.419 0.648
Nd3 Nd 0.205 0.741 0.899
Nd4 Nd 0.258 0.624 0.258
Nd5 Nd 0.259 0.205 0.149
Nd6 Nd 0.337 0.981 0.750
Nd7 Nd 0.376 0.258 0.508
Nd8 Nd 0.419 0.833 0.398
Nd9 Nd 0.581 0.167 0.898
Nd10 Nd 0.624 0.742 0.008
Nd11 Nd 0.663 0.019 0.250
Nd12 Nd 0.741 0.795 0.649
Nd13 Nd 0.742 0.376 0.758
Nd14 Nd 0.795 0.259 0.399
Nd15 Nd 0.833 0.581 0.148
Nd16 Nd 0.981 0.663 0.500
Si1 Si 0.098 0.807 0.035
Si2 Si 0.123 0.242 0.876
Si3 Si 0.193 0.098 0.285
Si4 Si 0.211 0.495 0.777
Si5 Si 0.242 0.877 0.626
Si6 Si 0.260 0.349 0.383
Si7 Si 0.349 0.740 0.133
Si8 Si 0.495 0.789 0.527
Si9 Si 0.505 0.211 0.027
Si10 Si 0.651 0.260 0.633
Si11 Si 0.740 0.651 0.883
Si12 Si 0.758 0.123 0.126
Si13 Si 0.789 0.505 0.277
Si14 Si 0.807 0.902 0.785
Si15 Si 0.877 0.758 0.376
Si16 Si 0.902 0.193 0.535
O1 O 0.015 0.976 0.258
O2 O 0.024 0.015 0.508
O3 O 0.048 0.543 0.730
O4 O 0.059 0.736 0.606
O5 O 0.067 0.359 0.554
O6 O 0.067 0.380 0.822
O7 O 0.071 0.826 0.409
O8 O 0.111 0.390 0.434
O9 O 0.120 0.215 0.341
O10 O 0.174 0.071 0.659
O11 O 0.215 0.561 0.158
O12 O 0.215 0.880 0.091
O13 O 0.256 0.690 0.996
O14 O 0.261 0.380 0.916
O15 O 0.264 0.059 0.856
O16 O 0.298 0.690 0.806
O17 O 0.310 0.256 0.246
O18 O 0.310 0.298 0.056
O19 O 0.342 0.539 0.351
O20 O 0.347 0.626 0.500
O21 O 0.359 0.933 0.304
O22 O 0.374 0.347 0.750
O23 O 0.380 0.739 0.666
O24 O 0.380 0.933 0.572
O25 O 0.390 0.889 0.184
O26 O 0.439 0.215 0.408
O27 O 0.457 0.048 0.980
O28 O 0.461 0.342 0.601
O29 O 0.539 0.658 0.101
O30 O 0.543 0.952 0.480
O31 O 0.561 0.785 0.908
O32 O 0.610 0.111 0.684
O33 O 0.620 0.067 0.072
O34 O 0.620 0.261 0.166
O35 O 0.626 0.653 0.250
O36 O 0.641 0.067 0.804
O37 O 0.653 0.374 0.000
O38 O 0.658 0.461 0.851
O39 O 0.690 0.702 0.556
O40 O 0.690 0.744 0.746
O41 O 0.702 0.310 0.306
O42 O 0.736 0.941 0.356
O43 O 0.739 0.620 0.416
O44 O 0.744 0.310 0.496
O45 O 0.785 0.120 0.591
O46 O 0.785 0.439 0.658
O47 O 0.826 0.929 0.159
O48 O 0.880 0.785 0.841
O49 O 0.889 0.610 0.934
O50 O 0.929 0.174 0.909
O51 O 0.933 0.620 0.322
O52 O 0.933 0.641 0.054
O53 O 0.941 0.264 0.106
O54 O 0.952 0.457 0.230
O55 O 0.976 0.985 0.008
O56 O 0.985 0.024 0.758
```

Output
- formation enthalpy at 0 K (kJ per mole of atoms) = -334.9
- DFT total energy (eV/cell) = -1250.95